Record 1
BeH8N2F4 PBE optimized geometry; spin magnetization = 0.00 μB/f.u.; theoretical density = 1667 kg/m3; space-group type = No. 33; DFT formation energy = -1.5100 eV/atom
1.0
15.084 0.000 0.000
0.000 6.024 0.000
0.000 0.000 10.621
Be H N F
8 64 16 32
Direct
0.003 0.249 0.000
0.250 0.248 0.339
0.250 0.748 0.839
0.497 0.749 0.500
0.503 0.251 0.000
0.750 0.252 0.339
0.750 0.752 0.839
0.997 0.751 0.500
0.035 0.727 0.794
0.039 0.098 0.359
0.041 0.368 0.399
0.053 0.872 0.094
0.075 0.288 0.255
0.078 0.600 0.095
0.093 0.280 0.778
0.115 0.763 0.211
0.138 0.265 0.632
0.160 0.781 0.066
0.171 0.090 0.745
0.180 0.725 0.600
0.202 0.359 0.751
0.202 0.644 0.451
0.208 0.913 0.490
0.214 0.237 0.043
0.286 0.737 0.543
0.292 0.413 0.990
0.298 0.144 0.951
0.298 0.859 0.251
0.320 0.225 0.100
0.329 0.590 0.245
0.340 0.281 0.566
0.362 0.765 0.132
0.385 0.263 0.711
0.407 0.780 0.278
0.422 0.100 0.595
0.425 0.788 0.755
0.447 0.372 0.594
0.459 0.868 0.899
0.461 0.598 0.859
0.465 0.227 0.294
0.535 0.773 0.794
0.539 0.402 0.359
0.541 0.132 0.399
0.553 0.628 0.094
0.575 0.212 0.255
0.578 0.900 0.095
0.593 0.220 0.778
0.615 0.737 0.211
0.638 0.235 0.632
0.660 0.719 0.066
0.671 0.410 0.745
0.680 0.775 0.600
0.702 0.141 0.751
0.702 0.856 0.451
0.708 0.587 0.490
0.714 0.263 0.043
0.786 0.763 0.543
0.792 0.087 0.990
0.798 0.356 0.951
0.798 0.641 0.251
0.820 0.275 0.100
0.829 0.910 0.245
0.840 0.219 0.566
0.862 0.735 0.132
0.885 0.237 0.711
0.907 0.720 0.278
0.922 0.400 0.595
0.925 0.712 0.755
0.947 0.128 0.594
0.959 0.632 0.899
0.961 0.902 0.859
0.965 0.273 0.294
0.030 0.257 0.325
0.102 0.755 0.116
0.151 0.250 0.727
0.219 0.754 0.522
0.281 0.254 0.022
0.349 0.750 0.227
0.398 0.255 0.616
0.470 0.757 0.825
0.530 0.243 0.325
0.602 0.745 0.116
0.651 0.250 0.727
0.719 0.746 0.522
0.781 0.246 0.022
0.849 0.750 0.227
0.898 0.245 0.616
0.970 0.743 0.825
0.003 0.746 0.352
0.039 0.972 0.547
0.043 0.536 0.550
0.102 0.255 0.047
0.152 0.752 0.789
0.202 0.457 0.287
0.208 0.023 0.295
0.244 0.256 0.487
0.256 0.756 0.987
0.292 0.523 0.795
0.298 0.957 0.787
0.348 0.252 0.289
0.398 0.755 0.547
0.457 0.036 0.050
0.461 0.472 0.047
0.497 0.246 0.852
0.503 0.754 0.352
0.539 0.528 0.547
0.543 0.964 0.550
0.602 0.245 0.047
0.652 0.748 0.789
0.702 0.043 0.287
0.708 0.477 0.295
0.744 0.244 0.487
0.756 0.744 0.987
0.792 0.977 0.795
0.798 0.543 0.787
0.848 0.248 0.289
0.898 0.745 0.547
0.957 0.464 0.050
0.961 0.028 0.047
0.997 0.254 0.852

Record 2
URu2Rh PBE optimized geometry; theoretical density = 13994 kg/m3; space-group type = No. 123; DFT formation energy = -0.4532 eV/atom
1.0
4.043 0.000 0.000
0.000 4.043 0.000
0.000 0.000 3.942
U Ru Rh
1 2 1
Direct
0.000 0.000 0.000
0.000 0.500 0.500
0.500 0.000 0.500
0.500 0.500 0.000

Record 3
CsC3Se3N3 PBE optimized geometry; spin magnetization = 0.00 μB/f.u.; theoretical density = 2830 kg/m3; space-group type = No. 15; DFT formation energy = 0.0491 eV/atom
1.0
4.249 -10.826 0.000
4.249 10.826 0.000
-0.916 0.000 5.712
Cs C Se N
2 6 6 6
Direct
0.224 0.776 0.750
0.776 0.224 0.250
0.102 0.341 0.818
0.341 0.102 0.318
0.357 0.643 0.250
0.643 0.357 0.750
0.659 0.898 0.682
0.898 0.659 0.182
0.134 0.254 0.032
0.254 0.134 0.532
0.442 0.558 0.250
0.558 0.442 0.750
0.746 0.866 0.468
0.866 0.746 0.968
0.078 0.397 0.686
0.303 0.697 0.250
0.397 0.078 0.186
0.603 0.922 0.814
0.697 0.303 0.750
0.922 0.603 0.314

Record 4
InCo16Sb48 PBE optimized geometry; spin magnetization = 0.07 μB/f.u.; theoretical density = 7435 kg/m3; space-group type = No. 12; DFT formation energy = -0.3174 eV/atom
1.0
6.488 -4.584 0.000
6.488 4.584 0.000
-0.012 0.000 25.916
In Co Sb
1 16 48
Direct
0.000 0.000 0.000
0.000 0.500 0.000
0.000 0.500 0.250
0.000 0.500 0.500
0.000 0.500 0.750
0.250 0.750 0.125
0.250 0.750 0.375
0.250 0.750 0.625
0.250 0.750 0.875
0.500 0.000 0.000
0.500 0.000 0.250
0.500 0.000 0.500
0.500 0.000 0.750
0.750 0.250 0.125
0.750 0.250 0.375
0.750 0.250 0.625
0.750 0.250 0.875
0.007 0.326 0.417
0.007 0.329 0.916
0.087 0.087 0.124
0.087 0.087 0.623
0.087 0.753 0.710
0.087 0.754 0.210
0.174 0.493 0.333
0.175 0.494 0.833
0.246 0.246 0.543
0.246 0.913 0.790
0.247 0.913 0.290
0.249 0.249 0.044
0.254 0.254 0.706
0.254 0.585 0.960
0.254 0.587 0.460
0.255 0.255 0.207
0.326 0.007 0.417
0.329 0.007 0.916
0.413 0.413 0.627
0.413 0.746 0.540
0.414 0.414 0.127
0.415 0.746 0.040
0.493 0.174 0.333
0.494 0.175 0.833
0.506 0.825 0.167
0.507 0.826 0.667
0.585 0.254 0.960
0.586 0.586 0.873
0.587 0.254 0.460
0.587 0.587 0.373
0.671 0.993 0.084
0.674 0.993 0.583
0.745 0.745 0.793
0.746 0.413 0.540
0.746 0.415 0.040
0.746 0.746 0.294
0.751 0.751 0.956
0.753 0.087 0.710
0.754 0.087 0.210
0.754 0.754 0.457
0.825 0.506 0.167
0.826 0.507 0.667
0.913 0.246 0.790
0.913 0.247 0.290
0.913 0.913 0.377
0.913 0.913 0.876
0.993 0.671 0.084
0.993 0.674 0.583

Record 5
Si3Pb11O17 PBE optimized geometry; spin magnetization = 0.00 μB/f.u.; theoretical density = 7917 kg/m3; space-group type = No. 2; DFT formation energy = -2.0068 eV/atom
1.0
7.474 0.000 0.000
-0.574 13.298 0.000
-3.712 -4.337 22.246
Si Pb O
12 44 68
Direct
0.097 0.113 0.147
0.188 0.598 0.855
0.237 0.896 0.419
0.297 0.614 0.586
0.319 0.902 0.152
0.395 0.385 0.851
0.605 0.615 0.149
0.681 0.098 0.848
0.703 0.386 0.414
0.763 0.104 0.581
0.812 0.402 0.145
0.903 0.887 0.853
0.000 0.252 0.005
0.000 0.748 0.995
0.002 0.152 0.436
0.003 0.640 0.419
0.074 0.239 0.716
0.106 0.733 0.722
0.120 0.647 0.140
0.139 0.032 0.296
0.160 0.513 0.277
0.204 0.127 0.859
0.210 0.386 0.408
0.241 0.497 0.995
0.254 0.005 0.004
0.270 0.086 0.576
0.293 0.365 0.135
0.339 0.483 0.713
0.356 0.987 0.719
0.388 0.860 0.864
0.394 0.257 0.273
0.437 0.758 0.296
0.468 0.838 0.568
0.487 0.369 0.557
0.494 0.246 0.988
0.506 0.754 0.012
0.513 0.631 0.443
0.532 0.162 0.432
0.563 0.242 0.704
0.606 0.743 0.727
0.612 0.140 0.136
0.644 0.013 0.281
0.661 0.517 0.287
0.707 0.635 0.865
0.730 0.914 0.424
0.746 0.995 0.996
0.759 0.503 0.005
0.790 0.614 0.592
0.796 0.873 0.141
0.840 0.487 0.723
0.861 0.968 0.704
0.880 0.353 0.860
0.894 0.267 0.278
0.926 0.761 0.284
0.997 0.360 0.581
0.998 0.848 0.564
0.028 0.609 0.898
0.032 0.600 0.041
0.047 0.180 0.346
0.065 0.396 0.686
0.096 0.165 0.218
0.096 0.792 0.388
0.101 0.583 0.784
0.113 0.922 0.888
0.138 0.996 0.398
0.151 0.588 0.630
0.162 0.807 0.122
0.164 0.359 0.305
0.209 0.188 0.113
0.211 0.008 0.149
0.222 0.149 0.958
0.227 0.704 0.548
0.245 0.551 0.392
0.267 0.938 0.612
0.279 0.347 0.037
0.287 0.910 0.492
0.291 0.492 0.866
0.296 0.145 0.682
0.300 0.301 0.884
0.332 0.508 0.541
0.351 0.692 0.876
0.365 0.348 0.777
0.389 0.585 0.119
0.398 0.900 0.223
0.402 0.349 0.644
0.417 0.111 0.313
0.422 0.883 0.387
0.467 0.900 0.963
0.485 0.905 0.113
0.499 0.662 0.626
0.501 0.338 0.374
0.515 0.095 0.887
0.533 0.100 0.037
0.578 0.117 0.613
0.583 0.889 0.687
0.598 0.651 0.356
0.602 0.100 0.777
0.611 0.415 0.881
0.635 0.652 0.223
0.649 0.308 0.124
0.668 0.492 0.459
0.700 0.699 0.116
0.704 0.855 0.318
0.709 0.508 0.134
0.713 0.090 0.508
0.721 0.653 0.963
0.733 0.062 0.388
0.755 0.449 0.608
0.773 0.296 0.452
0.778 0.851 0.042
0.789 0.992 0.851
0.791 0.812 0.887
0.836 0.641 0.695
0.838 0.193 0.878
0.849 0.412 0.370
0.862 0.004 0.602
0.887 0.078 0.112
0.899 0.417 0.216
0.904 0.208 0.612
0.904 0.835 0.782
0.935 0.604 0.314
0.953 0.820 0.654
0.968 0.400 0.959
0.972 0.391 0.102

Record 6
Zn3Sn3Se9NO4 PBE optimized geometry; spin magnetization = 1.00 μB/f.u.; theoretical density = 4061 kg/m3; space-group type = No. 1; DFT formation energy = -0.2978 eV/atom
1.0
7.637 0.000 0.000
-0.778 7.806 0.000
-3.260 -3.078 9.199
Zn Sn Se N O
3 3 9 1 4
Direct
0.000 0.000 0.000
0.170 0.483 0.713
0.782 0.531 0.347
0.201 0.919 0.487
0.482 0.233 0.948
0.605 0.293 0.602
0.121 0.564 0.344
0.275 0.465 0.952
0.295 0.893 0.816
0.353 0.520 0.562
0.548 0.958 0.456
0.593 0.224 0.212
0.799 0.311 0.891
0.859 0.546 0.609
0.873 0.004 0.231
0.748 0.761 0.315
0.058 0.134 0.214
0.184 0.884 0.944
0.806 0.851 0.062
0.852 0.096 0.853